DFT (PBE with a Hubbard U) results for a relaxed Li3V2P4H2O16 crystal.

## Properties
- E above lowest polymorph (meV per atom) = 66.7
- E_form (eV per atom) = -2.532

The structure in POSCAR format:
```
Li3V2P4H2O16
1.0
7.8848 0.0000 0.0000
-0.0179 8.0833 0.0000
-3.6333 -0.1245 9.0383
Li V P H O
6 4 8 4 32
Direct
0.0000 0.0000 0.0000
0.0007 0.0007 0.4979
0.1940 0.5002 0.4435
0.4921 0.2345 0.9933
0.6874 0.7325 0.9517
0.6868 0.7345 0.4496
0.3381 0.8605 0.9687
0.3427 0.8716 0.4717
0.8408 0.3648 0.4736
0.8537 0.3685 0.9728
0.0734 0.7142 0.1550
0.0746 0.7145 0.6536
0.1114 0.2185 0.2905
0.1115 0.2156 0.7905
0.5806 0.5176 0.1549
0.5815 0.5195 0.6548
0.6058 0.0211 0.7881
0.6065 0.0234 0.2873
0.3544 0.3760 0.2122
0.3559 0.3746 0.7118
0.8321 0.8758 0.2310
0.8324 0.8763 0.7315
0.0224 0.5402 0.0827
0.0302 0.5424 0.5734
0.1487 0.0486 0.8698
0.1488 0.0496 0.3656
0.1792 0.8216 0.5784
0.1801 0.8184 0.0816
0.1932 0.6943 0.3212
0.1951 0.6949 0.8178
0.2804 0.3219 0.3135
0.2899 0.3047 0.8129
0.3976 0.4284 0.6286
0.4052 0.4139 0.1285
0.4917 0.0381 0.6237
0.4927 0.0406 0.1208
0.5054 0.9151 0.3613
0.5072 0.9117 0.8647
0.5338 0.6840 0.5734
0.5353 0.6843 0.0778
0.6577 0.1897 0.8699
0.6639 0.1930 0.3626
0.6906 0.4130 0.0795
0.6968 0.5397 0.8224
0.6979 0.4178 0.5843
0.6981 0.5393 0.3226
0.7895 0.9242 0.3167
0.7914 0.9265 0.8173
0.8939 0.8070 0.6265
0.8950 0.8106 0.1275
0.9861 0.1955 0.1223
0.9875 0.1946 0.6229
0.9903 0.3163 0.8612
0.9935 0.3198 0.3646
```

=====

DFT (PBE with a Hubbard U) results for a relaxed ScMn2O4 crystal.

## Properties
- E_form (eV per atom) = -2.695

The structure in POSCAR format:
```
ScMn2O4
1.0
5.4688 -3.1188 0.0000
5.4688 3.1188 0.0000
-3.2994 0.0000 5.0258
Sc Mn O
2 4 8
Direct
0.0000 0.5000 0.0000
0.5000 0.0000 0.0000
0.0000 0.0000 0.0000
0.0000 0.0000 0.5000
0.3796 0.3796 0.6301
0.6204 0.6204 0.3699
0.2029 0.7751 0.2375
0.2249 0.7971 0.7625
0.2453 0.2453 0.7655
0.2459 0.2459 0.2265
0.7541 0.7541 0.7735
0.7547 0.7547 0.2345
0.7751 0.2029 0.2375
0.7971 0.2249 0.7625
```

=====

DFT (PBE with a Hubbard U) results for a relaxed RbCoBr3O6 crystal.

## Properties
- E_form (eV per atom) = -0.439

The structure in POSCAR format:
```
RbCoBr3O6
1.0
3.1552 -5.5361 0.0000
3.1552 5.5361 0.0000
-3.0291 0.0000 13.8451
Rb Co Br O
2 2 6 12
Direct
0.1401 0.8599 0.7500
0.8599 0.1401 0.2500
0.0000 0.5000 0.0000
0.5000 0.0000 0.5000
0.0000 0.5000 0.5000
0.3716 0.4434 0.8742
0.4434 0.3716 0.3742
0.5000 0.0000 0.0000
0.5566 0.6284 0.6258
0.6284 0.5566 0.1258
0.1388 0.3150 0.9484
0.1662 0.7564 0.9332
0.2338 0.6567 0.1034
0.2436 0.8338 0.5668
0.3150 0.1388 0.4484
0.3433 0.7662 0.3966
0.6567 0.2338 0.6034
0.6850 0.8612 0.5516
0.7564 0.1662 0.4332
0.7662 0.3433 0.8966
0.8338 0.2436 0.0668
0.8612 0.6850 0.0516
```

=====

no.,E_tot (Ry/atom)
1,-0.5049
2,-0.6009
3,-0.2790